! Cs2SrP2O7 | Materials Project | PBE | optimized geometry; values from VASP
&SYSTEM
  ibrav = 0, nat = 24, ntyp = 4
/
ATOMIC_SPECIES
Cs 132.91 Cs.upf
Sr 87.62 Sr.upf
P 30.97 P.upf
O 16.00 O.upf
CELL_PARAMETERS angstrom
5.345 -3.067 0.000
5.345 3.067 0.000
-3.754 0.000 13.243
ATOMIC_POSITIONS angstrom
Cs 0.693 1.664 11.068
Cs 4.366 1.664 8.797
Cs 2.570 -1.664 4.446
Cs 6.243 -1.664 2.175
Sr 0.795 1.534 6.622
Sr 2.672 -1.534 0.000
P 4.463 1.435 1.760
P 4.350 1.435 4.862
P 2.586 -1.435 8.382
P 2.473 -1.435 11.484
O -2.182 0.498 12.247
O 4.406 1.999 3.311
O 2.851 1.302 5.178
O -0.304 -0.498 5.625
O 3.712 0.095 1.709
O 5.961 1.302 1.444
O 1.835 -0.095 8.331
O 5.101 0.095 4.913
O 0.974 -1.302 11.800
O 3.224 -0.095 11.534
O 7.240 0.498 7.618
O 4.084 -1.302 8.065
O 2.529 -1.999 9.933
O 9.117 -0.498 0.996
! Density: 4.03 g cm⁻³
! E_form: -2.91 eV/atom
! Spin magnetization: 0.00 μB per formula unit
! Corrected total energy (MP2020 scheme): -6.984 eV per atom